Record 1
First-principles (PBE) data for crystalline Sr3CaRu2O9 at its relaxed geometry, as listed in Materials Project.

Geometry as CIF:
```
data_Sr3CaRu2O9
_cell_length_a 14.175
_cell_length_b 5.801
_cell_length_c 9.981
_cell_angle_alpha 90.00
_cell_angle_beta 90.06
_cell_angle_gamma 90.00
_symmetry_space_group_name_H-M 'P 1 21/c 1'
_symmetry_Int_Tables_number 14
_symmetry_space_group_name_Hall '-P 2ybc'
loop_
_atom_site_label
_atom_site_fract_x
_atom_site_fract_y
_atom_site_fract_z
_atom_site_occupancy
Sr1 0.083 0.035 0.332 1
Sr2 0.252 0.541 0.507 1
Sr3 0.412 0.036 0.667 1
Ca1 0.000 0.000 0.000 1
Ca2 0.500 0.000 0.000 1
Ru1 0.168 0.503 0.172 1
Ru2 0.331 0.006 0.339 1
O1 0.069 0.195 0.605 1
O2 0.094 0.730 0.629 1
O3 0.117 0.016 0.848 1
O4 0.224 0.516 0.975 1
O5 0.250 0.213 0.213 1
O6 0.276 0.712 0.237 1
O7 0.381 0.229 0.926 1
O8 0.405 0.697 0.949 1
O9 0.430 0.016 0.205 1
```

- ΔH_f (0 K) (eV/atom) = -2.4817
- V (Å³/atom) = 13.68
- VASP energy (eV per atom) = -6.7465

***

Record 2
First-principles (PBE) data for crystalline Sr3Ca3Ru4O14 at its relaxed geometry, as listed in Materials Project.

Geometry as CIF:
```
data_Sr3Ca3Ru4O14
_cell_length_a 5.575
_cell_length_b 5.593
_cell_length_c 10.453
_cell_angle_alpha 105.47
_cell_angle_beta 90.28
_cell_angle_gamma 90.04
_symmetry_space_group_name_H-M 'P 1'
_symmetry_Int_Tables_number 1
_symmetry_space_group_name_Hall 'P 1'
loop_
_atom_site_label
_atom_site_fract_x
_atom_site_fract_y
_atom_site_fract_z
_atom_site_occupancy
Sr1 0.000 0.000 0.000 1
Sr2 0.051 0.185 0.378 1
Sr3 0.547 0.675 0.374 1
Ca1 0.482 0.471 0.000 1
Ca2 0.483 0.845 0.752 1
Ca3 0.982 0.385 0.753 1
Ru1 0.018 0.581 0.177 1
Ru2 0.019 0.780 0.576 1
Ru3 0.520 0.078 0.177 1
Ru4 0.521 0.278 0.579 1
O1 0.007 0.734 0.377 1
O2 0.041 0.444 0.977 1
O3 0.043 0.812 0.769 1
O4 0.223 0.093 0.606 1
O5 0.235 0.856 0.163 1
O6 0.307 0.378 0.200 1
O7 0.318 0.564 0.552 1
O8 0.516 0.035 0.978 1
O9 0.520 0.126 0.379 1
O10 0.540 0.438 0.777 1
O11 0.725 0.000 0.610 1
O12 0.726 0.771 0.145 1
O13 0.807 0.303 0.201 1
O14 0.815 0.472 0.555 1
```

- ΔH_f (0 K) (eV/atom) = -2.3762
- V (Å³/atom) = 13.09
- VASP energy (eV per atom) = -6.8694

***

Record 3
First-principles (PBE) data for crystalline SrCa3Ru2O8 at its relaxed geometry, as listed in Materials Project.

Geometry as CIF:
```
data_SrCa3Ru2O8
_cell_length_a 5.378
_cell_length_b 5.378
_cell_length_c 25.446
_cell_angle_alpha 90.00
_cell_angle_beta 90.00
_cell_angle_gamma 90.00
_symmetry_space_group_name_H-M 'I b a 2'
_symmetry_Int_Tables_number 45
_symmetry_space_group_name_Hall 'I 2 -2c'
loop_
_atom_site_label
_atom_site_fract_x
_atom_site_fract_y
_atom_site_fract_z
_atom_site_occupancy
Sr1 0.000 0.000 0.000 1
Ca1 0.000 0.000 0.153 1
Ca2 0.000 0.500 0.249 1
Ca3 0.000 0.500 0.400 1
Ru1 0.000 0.000 0.324 1
Ru2 0.000 0.500 0.078 1
O1 0.000 0.000 0.243 1
O2 0.000 0.000 0.405 1
O3 0.000 0.500 0.160 1
O4 0.000 0.500 0.493 1
O5 0.183 0.317 0.325 1
O6 0.194 0.194 0.579 1
```

- ΔH_f (0 K) (eV/atom) = -2.4907
- V (Å³/atom) = 13.14
- VASP energy (eV per atom) = -6.8009

***

Record 4
First-principles (PBE) data for crystalline Sr4CaTb2Ru2O12 at its relaxed geometry, as listed in Materials Project.

Geometry as CIF:
```
data_Sr4CaTb2Ru2O12
_cell_length_a 5.823
_cell_length_b 6.133
_cell_length_c 8.576
_cell_angle_alpha 85.97
_cell_angle_beta 89.26
_cell_angle_gamma 89.80
_symmetry_space_group_name_H-M 'P 1'
_symmetry_Int_Tables_number 1
_symmetry_space_group_name_Hall 'P 1'
loop_
_atom_site_label
_atom_site_fract_x
_atom_site_fract_y
_atom_site_fract_z
_atom_site_occupancy
Sr1 0.000 0.000 0.000 1
Sr2 0.028 0.887 0.463 1
Sr3 0.498 0.364 0.459 1
Sr4 0.526 0.577 0.059 1
Ca1 0.451 0.292 0.839 1
Tb1 0.014 0.439 0.231 1
Tb2 0.510 0.860 0.702 1
Ru1 0.514 0.957 0.231 1
Ru2 0.996 0.385 0.715 1
O1 0.111 0.393 0.960 1
O2 0.239 0.613 0.672 1
O3 0.241 0.147 0.265 1
O4 0.246 0.145 0.662 1
O5 0.305 0.680 0.276 1
O6 0.439 0.951 0.983 1
O7 0.591 0.943 0.456 1
O8 0.705 0.232 0.184 1
O9 0.725 0.578 0.779 1
O10 0.783 0.130 0.749 1
O11 0.801 0.758 0.202 1
O12 0.923 0.425 0.485 1
```

- ΔH_f (0 K) (eV/atom) = -2.7250
- energy above the most stable polymorph in this dataset (eV/atom) = 0.009
- V (Å³/atom) = 14.55
- VASP energy (eV per atom) = -6.9018